Entry from the Materials Project: crystalline SrTiCuO4 at its relaxed geometry (PBE).

As for the calculated formation energy: -2672 meV per atom. As for the crystal system: tetragonal.

Cell lengths 3.955, 3.955, 11.093 Å; angles 90.00, 90.00, 90.00 degrees
Positions (direct):
Sr 0.250 0.250 0.127
Sr 0.750 0.750 0.873
Ti 0.250 0.250 0.729
Ti 0.750 0.750 0.271
Cu 0.250 0.750 0.500
Cu 0.750 0.250 0.500
O 0.250 0.250 0.526
O 0.250 0.250 0.899
O 0.250 0.750 0.278
O 0.250 0.750 0.722
O 0.750 0.250 0.278
O 0.750 0.250 0.722
O 0.750 0.750 0.101
O 0.750 0.750 0.474